First-principles (PBE-GGA) data for crystalline EuCo2Ge2 at its relaxed geometry, as listed in the Materials Project database.

The structure in POSCAR format:
```
EuCo2Ge2
1.0
-2.002 2.002 5.243
2.002 -2.002 5.243
2.002 2.002 -5.243
Eu Co Ge
1 2 2
Direct
0.000 0.000 0.000
0.250 0.750 0.500
0.750 0.250 0.500
0.365 0.365 0.000
0.635 0.635 0.000
```

Output
Calculated total energy (eV per atom): -7.249